# Cr2CuS4 | the Materials Project | PBE | relaxed
# V in Å³/cell: 238
# ΔH_f (0 K) in meV/atom: -921.6
# Distance to the lowest polymorph of the same formula in eV/atom: 0.0000
data_Cr2CuS4
_space_group_name_H-M_alt 'P 1'
_space_group_IT_number 1
_space_group_name_Hall 'P 1'
_cell_length_a 6.9601
_cell_length_b 6.9601
_cell_length_c 6.9601
_cell_angle_alpha 60.00
_cell_angle_beta 60.00
_cell_angle_gamma 60.00
loop_
_atom_site_label
_atom_site_type_symbol
_atom_site_fract_x
_atom_site_fract_y
_atom_site_fract_z
_atom_site_occupancy
Cr1 Cr 0.0000 0.0000 0.0000 1
Cr2 Cr 0.0000 0.0000 0.5000 1
Cr3 Cr 0.0000 0.5000 0.0000 1
Cr4 Cr 0.5000 0.0000 0.0000 1
Cu1 Cu 0.3750 0.3750 0.3750 1
Cu2 Cu 0.6250 0.6250 0.6250 1
S1 S 0.2264 0.7579 0.7579 1
S2 S 0.2421 0.2421 0.2421 1
S3 S 0.2421 0.2421 0.7736 1
S4 S 0.2421 0.7736 0.2421 1
S5 S 0.7579 0.2264 0.7579 1
S6 S 0.7579 0.7579 0.2264 1
S7 S 0.7579 0.7579 0.7579 1
S8 S 0.7736 0.2421 0.2421 1



# NbMoSe4 | the Materials Project | PBE | relaxed
# V in Å³/cell: 135
# ΔH_f (0 K) in meV/atom: -1055.0
data_NbMoSe4
_space_group_name_H-M_alt 'P 1'
_space_group_IT_number 1
_space_group_name_Hall 'P 1'
_cell_length_a 3.4117
_cell_length_b 3.4117
_cell_length_c 13.3644
_cell_angle_alpha 90.00
_cell_angle_beta 90.00
_cell_angle_gamma 120.00
loop_
_atom_site_label
_atom_site_type_symbol
_atom_site_fract_x
_atom_site_fract_y
_atom_site_fract_z
_atom_site_occupancy
Nb1 Nb 0.0000 0.0000 0.0000 1
Mo1 Mo 0.0000 0.0000 0.5000 1
Se1 Se 0.3333 0.6667 0.1280 1
Se2 Se 0.3333 0.6667 0.8720 1
Se3 Se 0.6667 0.3333 0.3772 1
Se4 Se 0.6667 0.3333 0.6228 1



# Mn3SnN | the Materials Project | PBE | relaxed
# V in Å³/cell: 58
# ΔH_f (0 K) in meV/atom: -208.6
data_Mn3SnN
_space_group_name_H-M_alt 'P 1'
_space_group_IT_number 1
_space_group_name_Hall 'P 1'
_cell_length_a 3.8789
_cell_length_b 3.8789
_cell_length_c 3.8789
_cell_angle_alpha 90.00
_cell_angle_beta 90.00
_cell_angle_gamma 90.00
loop_
_atom_site_label
_atom_site_type_symbol
_atom_site_fract_x
_atom_site_fract_y
_atom_site_fract_z
_atom_site_occupancy
Mn1 Mn 0.0000 0.0000 0.5000 1
Mn2 Mn 0.0000 0.5000 0.0000 1
Mn3 Mn 0.5000 0.0000 0.0000 1
Sn1 Sn 0.5000 0.5000 0.5000 1
N1 N 0.0000 0.0000 0.0000 1



# Pb3I2Cl4O6 | the Materials Project | PBE | relaxed
# V in Å³/cell: 638
# ΔH_f (0 K) in meV/atom: -1083.4
data_Pb3I2Cl4O6
_space_group_name_H-M_alt 'P 1'
_space_group_IT_number 1
_space_group_name_Hall 'P 1'
_cell_length_a 8.7196
_cell_length_b 8.7196
_cell_length_c 12.1958
_cell_angle_alpha 115.16
_cell_angle_beta 115.16
_cell_angle_gamma 51.24
loop_
_atom_site_label
_atom_site_type_symbol
_atom_site_fract_x
_atom_site_fract_y
_atom_site_fract_z
_atom_site_occupancy
Pb1 Pb 0.0557 0.3430 0.6753 1
Pb2 Pb 0.1680 0.8320 0.7500 1
Pb3 Pb 0.3430 0.0557 0.1753 1
Pb4 Pb 0.6570 0.9443 0.8247 1
Pb5 Pb 0.8320 0.1680 0.2500 1
Pb6 Pb 0.9443 0.6570 0.3247 1
I1 I 0.2328 0.6647 0.0271 1
I2 I 0.3353 0.7672 0.4729 1
I3 I 0.6647 0.2328 0.5271 1
I4 I 0.7672 0.3353 0.9729 1
Cl1 Cl 0.1500 0.2578 0.3899 1
Cl2 Cl 0.2578 0.1500 0.8899 1
Cl3 Cl 0.3258 0.4245 0.2292 1
Cl4 Cl 0.4245 0.3258 0.7292 1
Cl5 Cl 0.5755 0.6742 0.2708 1
Cl6 Cl 0.6742 0.5755 0.7708 1
Cl7 Cl 0.7422 0.8500 0.1101 1
Cl8 Cl 0.8500 0.7422 0.6101 1
O1 O 0.0380 0.6666 0.8843 1
O2 O 0.0814 0.9080 0.3785 1
O3 O 0.0920 0.9186 0.1215 1
O4 O 0.2770 0.6396 0.5235 1
O5 O 0.3334 0.9620 0.6157 1
O6 O 0.3604 0.7230 0.9765 1
O7 O 0.6396 0.2770 0.0235 1
O8 O 0.6666 0.0380 0.3843 1
O9 O 0.7230 0.3604 0.4765 1
O10 O 0.9080 0.0814 0.8785 1
O11 O 0.9186 0.0920 0.6215 1
O12 O 0.9620 0.3334 0.1157 1



# Ca3Re2N4 | the Materials Project | PBE | relaxed
# V in Å³/cell: 538
# ΔH_f (0 K) in meV/atom: -640.4
# Distance to the lowest polymorph of the same formula in eV/atom: 0.0000
data_Ca3Re2N4
_space_group_name_H-M_alt 'P 1'
_space_group_IT_number 1
_space_group_name_Hall 'P 1'
_cell_length_a 5.8067
_cell_length_b 9.9735
_cell_length_c 9.2852
_cell_angle_alpha 90.00
_cell_angle_beta 90.00
_cell_angle_gamma 90.00
loop_
_atom_site_label
_atom_site_type_symbol
_atom_site_fract_x
_atom_site_fract_y
_atom_site_fract_z
_atom_site_occupancy
Ca1 Ca 0.1220 0.1596 0.0826 1
Ca2 Ca 0.1220 0.3404 0.4174 1
Ca3 Ca 0.2500 0.0000 0.4026 1
Ca4 Ca 0.2500 0.5000 0.0974 1
Ca5 Ca 0.3780 0.6596 0.4174 1
Ca6 Ca 0.3780 0.8404 0.0826 1
Ca7 Ca 0.6220 0.1596 0.9174 1
Ca8 Ca 0.6220 0.3404 0.5826 1
Ca9 Ca 0.7500 0.0000 0.5974 1
Ca10 Ca 0.7500 0.5000 0.9026 1
Ca11 Ca 0.8780 0.6596 0.5826 1
Ca12 Ca 0.8780 0.8404 0.9174 1
Re1 Re 0.1212 0.2500 0.7500 1
Re2 Re 0.2500 0.0000 0.7357 1
Re3 Re 0.2500 0.5000 0.7643 1
Re4 Re 0.3788 0.7500 0.7500 1
Re5 Re 0.6212 0.2500 0.2500 1
Re6 Re 0.7500 0.0000 0.2643 1
Re7 Re 0.7500 0.5000 0.2357 1
Re8 Re 0.8788 0.7500 0.2500 1
N1 N 0.0055 0.5809 0.3460 1
N2 N 0.0055 0.9191 0.1540 1
N3 N 0.1100 0.6493 0.8694 1
N4 N 0.1100 0.8507 0.6306 1
N5 N 0.3900 0.1493 0.6306 1
N6 N 0.3900 0.3507 0.8694 1
N7 N 0.4945 0.0809 0.1540 1
N8 N 0.4945 0.4191 0.3460 1
N9 N 0.5055 0.5809 0.6540 1
N10 N 0.5055 0.9191 0.8460 1
N11 N 0.6100 0.6493 0.1306 1
N12 N 0.6100 0.8507 0.3694 1
N13 N 0.8900 0.1493 0.3694 1
N14 N 0.8900 0.3507 0.1306 1
N15 N 0.9945 0.0809 0.8460 1
N16 N 0.9945 0.4191 0.6540 1



# BeFe2Si | the Materials Project | PBE | relaxed
# V in Å³/cell: 39
# ΔH_f (0 K) in meV/atom: -379.2
data_BeFe2Si
_space_group_name_H-M_alt 'P 1'
_space_group_IT_number 1
_space_group_name_Hall 'P 1'
_cell_length_a 3.8198
_cell_length_b 3.8198
_cell_length_c 3.8198
_cell_angle_alpha 60.00
_cell_angle_beta 60.00
_cell_angle_gamma 60.00
loop_
_atom_site_label
_atom_site_type_symbol
_atom_site_fract_x
_atom_site_fract_y
_atom_site_fract_z
_atom_site_occupancy
Be1 Be 0.0000 0.0000 0.0000 1
Fe1 Fe 0.2500 0.2500 0.2500 1
Fe2 Fe 0.7500 0.7500 0.7500 1
Si1 Si 0.5000 0.5000 0.5000 1



# LuF3 | the Materials Project | PBE | relaxed
# V in Å³/cell: 56
# ΔH_f (0 K) in meV/atom: -4451.1
data_LuF3
_space_group_name_H-M_alt 'P 1'
_space_group_IT_number 1
_space_group_name_Hall 'P 1'
_cell_length_a 3.8805
_cell_length_b 3.8805
_cell_length_c 4.2646
_cell_angle_alpha 90.00
_cell_angle_beta 90.00
_cell_angle_gamma 120.00
loop_
_atom_site_label
_atom_site_type_symbol
_atom_site_fract_x
_atom_site_fract_y
_atom_site_fract_z
_atom_site_occupancy
Lu1 Lu 0.0000 0.0000 0.0000 1
F1 F 0.0000 0.0000 0.5000 1
F2 F 0.3333 0.6667 0.1018 1
F3 F 0.6667 0.3333 0.8982 1



# Tb2Ga9Rh3 | the Materials Project | PBE | relaxed
# V in Å³/cell: 474
# ΔH_f (0 K) in meV/atom: -714.8
data_Tb2Ga9Rh3
_space_group_name_H-M_alt 'P 1'
_space_group_IT_number 1
_space_group_name_Hall 'P 1'
_cell_length_a 7.5705
_cell_length_b 7.5705
_cell_length_c 9.5450
_cell_angle_alpha 90.00
_cell_angle_beta 90.00
_cell_angle_gamma 60.10
loop_
_atom_site_label
_atom_site_type_symbol
_atom_site_fract_x
_atom_site_fract_y
_atom_site_fract_z
_atom_site_occupancy
Tb1 Tb 0.0030 0.6677 0.7500 1
Tb2 Tb 0.3323 0.9970 0.7500 1
Tb3 Tb 0.6677 0.0030 0.2500 1
Tb4 Tb 0.9970 0.3323 0.2500 1
Ga1 Ga 0.0005 0.6662 0.0772 1
Ga2 Ga 0.0005 0.6662 0.4228 1
Ga3 Ga 0.1249 0.8751 0.2500 1
Ga4 Ga 0.3342 0.6658 0.5614 1
Ga5 Ga 0.3342 0.6658 0.9386 1
Ga6 Ga 0.3338 0.9995 0.0772 1
Ga7 Ga 0.3338 0.9995 0.4228 1
Ga8 Ga 0.3373 0.4534 0.2500 1
Ga9 Ga 0.4534 0.3373 0.7500 1
Ga10 Ga 0.5466 0.6627 0.2500 1
Ga11 Ga 0.6627 0.5466 0.7500 1
Ga12 Ga 0.6662 0.0005 0.5772 1
Ga13 Ga 0.6662 0.0005 0.9228 1
Ga14 Ga 0.6658 0.3342 0.0614 1
Ga15 Ga 0.6658 0.3342 0.4386 1
Ga16 Ga 0.8751 0.1249 0.7500 1
Ga17 Ga 0.9995 0.3338 0.5772 1
Ga18 Ga 0.9995 0.3338 0.9228 1
Rh1 Rh 0.0000 0.0000 0.0000 1
Rh2 Rh 0.0000 0.0000 0.5000 1
Rh3 Rh 0.3284 0.3284 0.0000 1
Rh4 Rh 0.3284 0.3284 0.5000 1
Rh5 Rh 0.6716 0.6716 0.0000 1
Rh6 Rh 0.6716 0.6716 0.5000 1



# Na4YZnP3O12 | the Materials Project | PBE | relaxed
# V in Å³/cell: 1694
# ΔH_f (0 K) in meV/atom: -2747.1
data_Na4YZnP3O12
_space_group_name_H-M_alt 'P 1'
_space_group_IT_number 1
_space_group_name_Hall 'P 1'
_cell_length_a 9.2991
_cell_length_b 9.2991
_cell_length_c 22.6226
_cell_angle_alpha 90.00
_cell_angle_beta 90.00
_cell_angle_gamma 120.00
loop_
_atom_site_label
_atom_site_type_symbol
_atom_site_fract_x
_atom_site_fract_y
_atom_site_fract_z
_atom_site_occupancy
P1 P 0.3271 0.3627 0.4185 1
P2 P 0.3689 0.0293 0.5852 1
O1 O 0.3230 0.4743 0.7549 1
O2 O 0.5503 0.6937 0.9738 1
Na1 Na 0.7079 0.0286 0.9135 1
Na2 Na 0.6540 0.9588 0.5802 1
O3 O 0.0211 0.8023 0.6958 1
O4 O 0.5029 0.6480 0.5806 1
O5 O 0.8591 0.3436 0.9215 1
Na3 Na 0.9714 0.6793 0.9135 1
O6 O 0.9730 0.1899 0.3071 1
P3 P 0.9937 0.2978 0.2519 1
P4 P 0.3040 0.0063 0.2519 1
O7 O 0.2169 0.1899 0.8071 1
O8 O 0.8101 0.0270 0.8071 1
O9 O 0.3544 0.8855 0.8625 1
O10 O 0.6564 0.5155 0.9215 1
O11 O 0.5029 0.8549 0.0806 1
O12 O 0.1434 0.6937 0.4738 1
Na4 Na 0.0412 0.3460 0.0802 1
Na5 Na 0.6667 0.3333 0.8265 1
O13 O 0.9897 0.1821 0.5882 1
O14 O 0.1696 0.9813 0.9140 1
O15 O 0.7812 0.9789 0.6958 1
P5 P 0.0356 0.3627 0.9185 1
Zn1 Zn 0.0000 0.0000 0.3438 1
P6 P 0.7022 0.6960 0.2519 1
O16 O 0.4479 0.3122 0.0291 1
O17 O 0.3520 0.8549 0.5806 1
O18 O 0.4784 0.1638 0.2473 1
O19 O 0.1451 0.4971 0.5806 1
O20 O 0.8836 0.5233 0.1405 1
P7 P 0.0356 0.6729 0.4185 1
O21 O 0.6397 0.1164 0.1405 1
O22 O 0.1977 0.9789 0.1958 1
O23 O 0.8643 0.3122 0.5291 1
P8 P 0.7022 0.0063 0.7519 1
O24 O 0.4784 0.3147 0.7473 1
O25 O 0.6397 0.5233 0.6405 1
P9 P 0.3689 0.3396 0.0852 1
P10 P 0.6373 0.6729 0.9185 1
O26 O 0.6564 0.1409 0.4215 1
O27 O 0.1924 0.1821 0.0882 1
O28 O 0.8179 0.8076 0.5882 1
O29 O 0.4767 0.1164 0.6405 1
Na6 Na 0.6667 0.3333 0.3265 1
P11 P 0.6604 0.0293 0.0852 1
Na7 Na 0.0000 0.0000 0.9932 1
Y1 Y 0.0000 0.0000 0.1515 1
Zn2 Zn 0.0000 0.0000 0.8438 1
Na8 Na 0.3333 0.6667 0.1598 1
Na9 Na 0.0412 0.6952 0.5802 1
O30 O 0.1434 0.4497 0.9738 1
O31 O 0.9730 0.7831 0.8071 1
Na10 Na 0.9874 0.6255 0.2468 1
O32 O 0.8118 0.9813 0.4140 1
O33 O 0.6853 0.1638 0.7473 1
Na11 Na 0.9874 0.3619 0.7468 1
Na12 Na 0.7079 0.6793 0.4135 1
O34 O 0.1924 0.0103 0.5882 1
O35 O 0.1145 0.6456 0.3625 1
O36 O 0.1512 0.4743 0.2549 1
O37 O 0.1451 0.6480 0.0806 1
Zn3 Zn 0.6667 0.3333 0.6772 1
P12 P 0.3271 0.9644 0.9185 1
P13 P 0.9937 0.6960 0.7519 1
Na13 Na 0.3745 0.0126 0.7468 1
O38 O 0.8101 0.7831 0.3071 1
P14 P 0.6604 0.6311 0.5852 1
O39 O 0.3544 0.4690 0.3625 1
O40 O 0.2169 0.0270 0.3071 1
O41 O 0.3063 0.8566 0.9738 1
O42 O 0.4767 0.3603 0.1405 1
O43 O 0.6853 0.5216 0.2473 1
Na14 Na 0.6540 0.6952 0.0802 1
Na15 Na 0.6381 0.6255 0.7468 1
O44 O 0.8118 0.8304 0.9140 1
O45 O 0.8643 0.5521 0.0291 1
Y2 Y 0.6667 0.3333 0.9849 1
O46 O 0.5310 0.6456 0.8625 1
O47 O 0.8362 0.5216 0.7473 1
Y3 Y 0.6667 0.3333 0.4849 1
O48 O 0.8591 0.5155 0.4215 1
P15 P 0.6373 0.9644 0.4185 1
O49 O 0.4845 0.1409 0.9215 1
O50 O 0.5257 0.8488 0.7549 1
Zn4 Zn 0.6667 0.3333 0.1772 1
O51 O 0.8179 0.0103 0.0882 1
O52 O 0.3063 0.4497 0.4738 1
O53 O 0.3520 0.4971 0.0806 1
Zn5 Zn 0.3333 0.6667 0.0105 1
Na16 Na 0.3207 0.0286 0.4135 1
O54 O 0.4845 0.3436 0.4215 1
P16 P 0.9707 0.6311 0.0852 1
O55 O 0.5310 0.8855 0.3625 1
O56 O 0.5257 0.6770 0.2549 1
O57 O 0.5503 0.8566 0.4738 1
O58 O 0.1512 0.6770 0.7549 1
O59 O 0.7812 0.8023 0.1958 1
Na17 Na 0.6381 0.0126 0.2468 1
P17 P 0.3040 0.2978 0.7519 1
O60 O 0.9897 0.8076 0.0882 1
O61 O 0.1696 0.1882 0.4140 1
P18 P 0.9707 0.3396 0.5852 1
O62 O 0.0211 0.2188 0.1958 1
O63 O 0.3230 0.8488 0.2549 1
Y4 Y 0.3333 0.6667 0.8182 1
O64 O 0.8836 0.3603 0.6405 1
O65 O 0.6878 0.5521 0.5291 1
Na18 Na 0.9714 0.2921 0.4135 1
O66 O 0.0187 0.1882 0.9140 1
Na19 Na 0.3048 0.3460 0.5802 1
Na20 Na 0.3048 0.9588 0.0802 1
O67 O 0.1145 0.4690 0.8625 1
Y5 Y 0.3333 0.6667 0.3182 1
Na21 Na 0.3745 0.3619 0.2468 1
Na22 Na 0.0000 0.0000 0.4932 1
O68 O 0.6878 0.1357 0.0291 1
O69 O 0.1977 0.2188 0.6958 1
O70 O 0.4479 0.1357 0.5291 1
Y6 Y 0.0000 0.0000 0.6515 1
O71 O 0.8362 0.3147 0.2473 1
O72 O 0.0187 0.8304 0.4140 1
Zn6 Zn 0.3333 0.6667 0.5105 1
Na23 Na 0.3207 0.2921 0.9135 1
Na24 Na 0.3333 0.6667 0.6598 1



# PdI2N2 | the Materials Project | PBE | relaxed
# V in Å³/cell: 1168
# ΔH_f (0 K) in meV/atom: 1038.7
data_PdI2N2
_space_group_name_H-M_alt 'P 1'
_space_group_IT_number 1
_space_group_name_Hall 'P 1'
_cell_length_a 8.5658
_cell_length_b 13.4780
_cell_length_c 10.1162
_cell_angle_alpha 90.00
_cell_angle_beta 90.00
_cell_angle_gamma 90.00
loop_
_atom_site_label
_atom_site_type_symbol
_atom_site_fract_x
_atom_site_fract_y
_atom_site_fract_z
_atom_site_occupancy
Pd1 Pd 0.1298 0.2319 0.1415 1
Pd2 Pd 0.1298 0.2681 0.6415 1
Pd3 Pd 0.3702 0.7319 0.1415 1
Pd4 Pd 0.3702 0.7681 0.6415 1
Pd5 Pd 0.6298 0.2319 0.3585 1
Pd6 Pd 0.6298 0.2681 0.8585 1
Pd7 Pd 0.8702 0.7319 0.3585 1
Pd8 Pd 0.8702 0.7681 0.8585 1
I1 I 0.0959 0.6778 0.6366 1
I2 I 0.0959 0.8222 0.1366 1
I3 I 0.1710 0.0572 0.3538 1
I4 I 0.1710 0.4428 0.8538 1
I5 I 0.3290 0.5572 0.3538 1
I6 I 0.3290 0.9428 0.8538 1
I7 I 0.4041 0.1778 0.6366 1
I8 I 0.4041 0.3222 0.1366 1
I9 I 0.5959 0.6778 0.8634 1
I10 I 0.5959 0.8222 0.3634 1
I11 I 0.6710 0.0572 0.1462 1
I12 I 0.6710 0.4428 0.6462 1
I13 I 0.8290 0.5572 0.1462 1
I14 I 0.8290 0.9428 0.6462 1
I15 I 0.9041 0.1778 0.8634 1
I16 I 0.9041 0.3222 0.3634 1
N1 N 0.0542 0.6923 0.8358 1
N2 N 0.0542 0.8077 0.3358 1
N3 N 0.1417 0.0944 0.1601 1
N4 N 0.1417 0.4056 0.6601 1
N5 N 0.3583 0.5944 0.1601 1
N6 N 0.3583 0.9056 0.6601 1
N7 N 0.4458 0.1923 0.8358 1
N8 N 0.4458 0.3077 0.3358 1
N9 N 0.5542 0.6923 0.6642 1
N10 N 0.5542 0.8077 0.1642 1
N11 N 0.6417 0.0944 0.3399 1
N12 N 0.6417 0.4056 0.8399 1
N13 N 0.8583 0.5944 0.3399 1
N14 N 0.8583 0.9056 0.8399 1
N15 N 0.9458 0.1923 0.6642 1
N16 N 0.9458 0.3077 0.1642 1



# Li3PF6 | the Materials Project | PBE | relaxed
# V in Å³/cell: 137
# ΔH_f (0 K) in meV/atom: -2641.1
# Distance to the lowest polymorph of the same formula in eV/atom: 0.0000
data_Li3PF6
_space_group_name_H-M_alt 'P 1'
_space_group_IT_number 1
_space_group_name_Hall 'P 1'
_cell_length_a 4.8567
_cell_length_b 5.7389
_cell_length_c 5.8584
_cell_angle_alpha 61.15
_cell_angle_beta 74.21
_cell_angle_gamma 88.19
loop_
_atom_site_label
_atom_site_type_symbol
_atom_site_fract_x
_atom_site_fract_y
_atom_site_fract_z
_atom_site_occupancy
Li1 Li 0.0000 0.0000 0.0000 1
Li2 Li 0.0000 0.5000 0.0000 1
Li3 Li 0.5000 0.0000 0.5000 1
P1 P 0.0000 0.5000 0.5000 1
F1 F 0.1773 0.7183 0.6152 1
F2 F 0.2221 0.6981 0.0940 1
F3 F 0.2419 0.2061 0.6305 1
F4 F 0.7581 0.7939 0.3695 1
F5 F 0.7779 0.3019 0.9060 1
F6 F 0.8227 0.2817 0.3848 1